Entry 1:
A plane-wave DFT calculation with PBE was carried out for a geometry-optimized Ba2Zn3P10O30 structure.

a = 5.435 Å, b = 10.896 Å, c = 22.881 Å
α = 71.60°, β = 90.00°, γ = 90.00°
Positions (direct):
1 O 0.116 0.739 0.358
2 O 0.606 0.390 0.690
3 O 0.655 0.396 0.546
4 O 0.718 0.615 0.191
5 O 0.075 0.289 0.541
6 P 0.044 0.682 0.696
7 P 0.985 0.839 0.478
8 O 0.317 0.854 0.257
9 O 0.925 0.711 0.459
10 O 0.766 0.149 0.984
11 O 0.925 0.289 0.041
12 P 0.906 0.629 0.926
13 P 0.956 0.318 0.304
14 O 0.606 0.610 0.810
15 P 0.777 0.725 0.796
16 O 0.683 0.854 0.757
17 O 0.394 0.610 0.310
18 O 0.238 0.832 0.505
19 P 0.216 0.957 0.630
20 P 0.216 0.043 0.870
21 Ba 0.495 0.610 0.576
22 O 0.282 0.385 0.809
23 P 0.784 0.043 0.370
24 O 0.992 0.953 0.414
25 O 0.195 0.374 0.318
26 Zn 0.449 0.500 0.250
27 P 0.223 0.725 0.296
28 P 0.777 0.275 0.704
29 O 0.753 0.006 0.183
30 O 0.075 0.711 0.959
31 O 0.238 0.168 0.995
32 O 0.950 0.515 0.421
33 P 0.015 0.161 0.522
34 Ba 0.505 0.390 0.424
35 O 0.050 0.515 0.921
36 P 0.784 0.957 0.130
37 P 0.956 0.682 0.196
38 O 0.394 0.390 0.190
39 O 0.247 0.006 0.683
40 O 0.753 0.994 0.317
41 O 0.805 0.626 0.682
42 Ba 0.505 0.610 0.076
43 Zn 0.528 0.000 0.250
44 O 0.345 0.604 0.454
45 O 0.950 0.485 0.079
46 Zn 0.500 0.000 0.000
47 O 0.438 0.055 0.907
48 P 0.044 0.318 0.804
49 O 0.944 0.827 0.149
50 O 0.345 0.396 0.046
51 O 0.116 0.261 0.142
52 O 0.234 0.851 0.016
53 O 0.438 0.945 0.593
54 O 0.992 0.047 0.086
55 Zn 0.472 0.000 0.750
56 P 0.985 0.161 0.022
57 P 0.906 0.371 0.574
58 O 0.683 0.146 0.743
59 O 0.884 0.739 0.858
60 Ba 0.495 0.390 0.924
61 O 0.718 0.385 0.309
62 O 0.762 0.832 0.005
63 P 0.094 0.629 0.426
64 Zn 0.551 0.500 0.750
65 O 0.056 0.173 0.851
66 O 0.762 0.168 0.495
67 O 0.655 0.604 0.954
68 O 0.562 0.055 0.407
69 O 0.766 0.851 0.516
70 P 0.223 0.275 0.204
71 O 0.562 0.945 0.093
72 O 0.282 0.615 0.691
73 O 0.008 0.047 0.586
74 P 0.015 0.839 0.978
75 O 0.970 0.303 0.236
76 O 0.944 0.173 0.351
77 O 0.030 0.303 0.736
78 O 0.884 0.261 0.642
79 O 0.317 0.146 0.243
80 O 0.008 0.953 0.914
81 O 0.050 0.485 0.579
82 O 0.195 0.626 0.182
83 O 0.234 0.149 0.484
84 O 0.970 0.697 0.264
85 O 0.247 0.994 0.817
86 O 0.030 0.697 0.764
87 Zn 0.500 0.000 0.500
88 O 0.805 0.374 0.818
89 P 0.094 0.371 0.074
90 O 0.056 0.827 0.649

Summary:
Formation energy, eV/atom: -2.688
Space-group type: P2/c (13)



Entry 2:
A plane-wave DFT calculation with PBE was carried out for a geometry-optimized CaIn2Rh structure.

a = 5.714 Å, b = 7.951 Å, c = 16.096 Å
α = 90.00°, β = 90.00°, γ = 90.00°
Positions (direct):
1 In 0.248 0.555 0.961
2 Rh 0.481 0.250 0.428
3 In 0.252 0.555 0.461
4 In 0.248 0.945 0.961
5 In 0.542 0.550 0.712
6 Ca 0.458 0.750 0.138
7 Rh 0.019 0.250 0.928
8 Ca 0.253 0.250 0.603
9 Rh 0.227 0.750 0.314
10 Rh 0.773 0.250 0.686
11 In 0.252 0.945 0.461
12 In 0.958 0.950 0.212
13 In 0.752 0.445 0.039
14 Ca 0.247 0.250 0.103
15 Rh 0.519 0.750 0.572
16 In 0.958 0.550 0.212
17 Rh 0.273 0.750 0.814
18 In 0.458 0.050 0.288
19 In 0.042 0.050 0.788
20 Ca 0.747 0.750 0.397
21 In 0.042 0.450 0.788
22 In 0.752 0.055 0.039
23 In 0.458 0.450 0.288
24 Rh 0.981 0.750 0.072
25 Ca 0.042 0.750 0.638
26 In 0.542 0.950 0.712
27 Ca 0.958 0.250 0.362
28 In 0.748 0.055 0.539
29 Rh 0.727 0.250 0.186
30 Ca 0.753 0.750 0.897
31 In 0.748 0.445 0.539
32 Ca 0.542 0.250 0.862

Summary:
Formation energy, eV/atom: -0.519
Space-group type: Pnma (62)



Entry 3:
A plane-wave DFT calculation with PBE was carried out for a geometry-optimized VW structure.

a = 2.721 Å, b = 2.721 Å, c = 4.295 Å
α = 90.00°, β = 90.00°, γ = 110.28°
Positions (direct):
1 W 0.500 0.500 0.500
2 V 0.000 0.000 0.000

Summary:
Formation energy, eV/atom: -0.069
Space-group type: Cmmm (65)



Entry 4:
A plane-wave DFT calculation with PBE was carried out for a geometry-optimized SrSn3 structure.

a = 4.880 Å, b = 4.880 Å, c = 4.880 Å
α = 90.00°, β = 90.00°, γ = 90.00°
Positions (direct):
1 Sr 0.000 0.000 0.000
2 Sn 0.500 0.500 0.000
3 Sn 0.500 0.000 0.500
4 Sn 0.000 0.500 0.500

Summary:
Formation energy, eV/atom: -0.353
Space-group type: Pm-3m (221)